Entry a
An optimized crystal structure of Ba2LaCu3O7. Source: the Materials Project, functional PBE.

Unit cell a=3.9120 b=3.9786 c=11.9009 alpha=90.00 beta=90.00 gamma=90.00
With the nearest neighbours (Å) after each atom.
Sites, in units of the cell vectors:
Ba: 0.0000 0.0000 0.1790  10 O 2.80-3.01
Ba: 0.0000 0.0000 0.8210  10 O 2.80-3.01
La: 0.0000 0.0000 0.5000  8 O 2.52-2.53
Cu: 0.5000 0.5000 0.0000  4 O 1.88-1.99
Cu: 0.5000 0.5000 0.3443  4 O 1.98-2.01
Cu: 0.5000 0.5000 0.6557  4 O 1.98-2.01
O: 0.0000 0.5000 0.3691  2 Cu 1.98
O: 0.0000 0.5000 0.6309  2 Cu 1.98
O: 0.5000 0.0000 0.0000  2 Cu 1.99
O: 0.5000 0.0000 0.3663  2 Cu 2.01
O: 0.5000 0.0000 0.6337  2 Cu 2.01
O: 0.5000 0.5000 0.1576  1 Cu 1.88
O: 0.5000 0.5000 0.8424  1 Cu 1.88

Entry b
An optimized crystal structure of Ba2LaCu3O7. Source: the Materials Project, functional PBE.

Unit cell a=3.9929 b=3.9929 c=11.5944 alpha=90.00 beta=90.00 gamma=90.00
With the nearest neighbours (Å) after each atom.
Sites, in units of the cell vectors:
Ba: 0.0000 0.0000 0.0000  12 O 2.83-3.11
Ba: 0.0000 0.0000 0.3384  8 O 2.68-2.95
La: 0.0000 0.0000 0.6657  8 O 2.50-2.57
Cu: 0.5000 0.5000 0.1607  5 O 1.96-2.02
Cu: 0.5000 0.5000 0.5220  4 O 2.00
Cu: 0.5000 0.5000 0.8226  5 O 1.96-2.02
O: 0.0000 0.5000 0.1845  2 Cu 2.02
O: 0.0000 0.5000 0.5258  2 Cu 2.00
O: 0.0000 0.5000 0.7948  2 Cu 2.02
O: 0.5000 0.0000 0.1845  2 Cu 2.02
O: 0.5000 0.0000 0.5258  2 Cu 2.00
O: 0.5000 0.0000 0.7948  2 Cu 2.02
O: 0.5000 0.5000 0.9916  2 Cu 1.96

entry a (46 meV per atom below the next structure)